GaSb: optimized geometry, PBE-GGA.

Electronic total energy, eV/f.u.: -7.445
Polymorph energy (0 for the lowest one), meV/atom: 13
Calculated formation energy, meV/atom: -239.8

Cell lengths 4.384, 4.384, 7.207 Å; angles 90.00, 90.00, 120.00 degrees
Fractional coordinates of all 4 atoms:
1 Ga 0.333 0.667 0.000
2 Ga 0.667 0.333 0.500
3 Sb 0.333 0.667 0.375
4 Sb 0.667 0.333 0.875

GaSb: optimized geometry, PBE-GGA.

Electronic total energy, eV/f.u.: -7.101
Total moment, μB per formula unit: 0.0
Polymorph energy (0 for the lowest one), meV/atom: 185
Calculated formation energy, meV/atom: -68.0

Cell lengths 5.507, 5.507, 3.181 Å; angles 90.00, 90.00, 90.00 degrees
Fractional coordinates of all 4 atoms:
1 Ga 0.000 0.000 0.000
2 Ga 0.500 0.500 0.500
3 Sb 0.000 0.500 0.250
4 Sb 0.500 0.000 0.750

GaSb: optimized geometry, PBE-GGA.

Electronic total energy, eV/f.u.: -6.901
Total moment, μB per formula unit: 0.0
Polymorph energy (0 for the lowest one), meV/atom: 285
Calculated formation energy, meV/atom: 32.1

Cell lengths 13.466, 14.225, 14.272 Å; angles 89.35, 85.54, 87.18 degrees
Fractional coordinates of all 100 atoms:
1 Ga 0.000 0.000 0.000
2 Ga 0.000 0.506 0.696
3 Ga 0.018 0.078 0.264
4 Ga 0.073 0.150 0.912
5 Ga 0.134 0.613 0.164
6 Ga 0.142 0.134 0.726
7 Ga 0.178 0.960 0.823
8 Ga 0.212 0.623 0.845
9 Ga 0.323 0.322 0.650
10 Ga 0.333 0.499 0.319
11 Ga 0.349 0.227 0.805
12 Ga 0.351 0.674 0.988
13 Ga 0.358 0.951 0.927
14 Ga 0.366 0.626 0.689
15 Ga 0.399 0.463 0.514
16 Ga 0.399 0.842 0.297
17 Ga 0.404 0.776 0.832
18 Ga 0.414 0.370 0.193
19 Ga 0.415 0.696 0.526
20 Ga 0.431 0.538 0.841
21 Ga 0.437 0.104 0.581
22 Ga 0.449 0.631 0.217
23 Ga 0.485 0.903 0.045
24 Ga 0.495 0.284 0.514
25 Ga 0.499 0.534 0.050
26 Ga 0.504 0.585 0.393
27 Ga 0.510 0.076 0.304
28 Ga 0.529 0.731 0.068
29 Ga 0.541 0.821 0.633
30 Ga 0.575 0.092 0.121
31 Ga 0.607 0.290 0.300
32 Ga 0.619 0.498 0.895
33 Ga 0.637 0.145 0.550
34 Ga 0.686 0.677 0.973
35 Ga 0.688 0.270 0.678
36 Ga 0.702 0.130 0.279
37 Ga 0.707 0.016 0.776
38 Ga 0.712 0.459 0.610
39 Ga 0.717 0.846 0.391
40 Ga 0.803 0.074 0.422
41 Ga 0.822 0.949 0.085
42 Ga 0.833 0.932 0.267
43 Ga 0.838 0.460 0.395
44 Ga 0.872 0.317 0.073
45 Ga 0.904 0.425 0.570
46 Ga 0.909 0.705 0.933
47 Ga 0.939 0.613 0.155
48 Ga 0.942 0.458 0.865
49 Ga 0.952 0.803 0.086
50 Ga 0.999 0.280 0.767
51 Sb 0.015 0.265 0.518
52 Sb 0.030 0.693 0.756
53 Sb 0.043 0.995 0.637
54 Sb 0.053 0.334 0.967
55 Sb 0.058 0.830 0.248
56 Sb 0.067 0.262 0.314
57 Sb 0.073 0.769 0.558
58 Sb 0.094 0.524 0.349
59 Sb 0.154 0.975 0.130
60 Sb 0.181 0.026 0.407
61 Sb 0.200 0.826 0.982
62 Sb 0.203 0.362 0.434
63 Sb 0.208 0.493 0.671
64 Sb 0.221 0.619 0.490
65 Sb 0.232 0.799 0.703
66 Sb 0.246 0.167 0.551
67 Sb 0.256 0.707 0.282
68 Sb 0.274 0.129 0.958
69 Sb 0.279 0.412 0.899
70 Sb 0.292 0.498 0.081
71 Sb 0.332 0.876 0.481
72 Sb 0.375 0.996 0.189
73 Sb 0.394 0.955 0.725
74 Sb 0.410 0.244 0.349
75 Sb 0.417 0.215 0.073
76 Sb 0.495 0.318 0.907
77 Sb 0.518 0.417 0.687
78 Sb 0.524 0.967 0.463
79 Sb 0.535 0.127 0.749
80 Sb 0.589 0.777 0.249
81 Sb 0.599 0.681 0.791
82 Sb 0.616 0.375 0.124
83 Sb 0.635 0.430 0.430
84 Sb 0.649 0.693 0.493
85 Sb 0.659 0.549 0.236
86 Sb 0.664 0.974 0.978
87 Sb 0.718 0.953 0.580
88 Sb 0.727 0.226 0.972
89 Sb 0.757 0.817 0.835
90 Sb 0.768 0.366 0.825
91 Sb 0.769 0.640 0.649
92 Sb 0.823 0.537 0.019
93 Sb 0.827 0.658 0.330
94 Sb 0.865 0.130 0.150
95 Sb 0.868 0.121 0.829
96 Sb 0.869 0.124 0.600
97 Sb 0.942 0.411 0.230
98 Sb 0.946 0.614 0.492
99 Sb 0.961 0.918 0.821
100 Sb 0.982 0.943 0.418

GaSb: optimized geometry, PBE-GGA.

Electronic total energy, eV/f.u.: -6.844
Total moment, μB per formula unit: 0.0
Polymorph energy (0 for the lowest one), meV/atom: 313
Calculated formation energy, meV/atom: 60.5

Cell lengths 13.467, 13.519, 15.057 Å; angles 93.24, 91.32, 92.56 degrees
Fractional coordinates of all 100 atoms:
1 Ga 0.000 0.000 0.000
2 Ga 0.000 0.023 0.827
3 Ga 0.038 0.396 0.944
4 Ga 0.042 0.720 0.497
5 Ga 0.044 0.263 0.795
6 Ga 0.054 0.554 0.830
7 Ga 0.057 0.100 0.147
8 Ga 0.073 0.745 0.898
9 Ga 0.113 0.415 0.711
10 Ga 0.117 0.677 0.697
11 Ga 0.122 0.901 0.334
12 Ga 0.146 0.731 0.070
13 Ga 0.151 0.900 0.819
14 Ga 0.177 0.529 0.584
15 Ga 0.225 0.806 0.460
16 Ga 0.259 0.025 0.938
17 Ga 0.266 0.596 0.808
18 Ga 0.267 0.588 0.085
19 Ga 0.272 0.041 0.319
20 Ga 0.273 0.249 0.085
21 Ga 0.297 0.781 0.843
22 Ga 0.298 0.983 0.662
23 Ga 0.302 0.174 0.496
24 Ga 0.389 0.490 0.488
25 Ga 0.416 0.139 0.632
26 Ga 0.430 0.369 0.931
27 Ga 0.433 0.600 0.342
28 Ga 0.461 0.620 0.107
29 Ga 0.516 0.052 0.763
30 Ga 0.528 0.426 0.336
31 Ga 0.531 0.322 0.610
32 Ga 0.537 0.262 0.441
33 Ga 0.542 0.638 0.544
34 Ga 0.583 0.479 0.723
35 Ga 0.592 0.984 0.917
36 Ga 0.700 0.271 0.332
37 Ga 0.733 0.919 0.467
38 Ga 0.747 0.246 0.679
39 Ga 0.807 0.709 0.064
40 Ga 0.833 0.475 0.841
41 Ga 0.833 0.535 0.128
42 Ga 0.858 0.379 0.242
43 Ga 0.862 0.823 0.712
44 Ga 0.870 0.194 0.161
45 Ga 0.875 0.546 0.336
46 Ga 0.895 0.150 0.741
47 Ga 0.905 0.273 0.383
48 Ga 0.929 0.571 0.679
49 Ga 0.933 0.609 0.965
50 Ga 0.975 0.816 0.050
51 Sb 0.010 0.149 0.584
52 Sb 0.031 0.512 0.106
53 Sb 0.055 0.866 0.652
54 Sb 0.062 0.140 0.339
55 Sb 0.063 0.537 0.406
56 Sb 0.087 0.306 0.211
57 Sb 0.089 0.699 0.247
58 Sb 0.119 0.195 0.963
59 Sb 0.166 0.010 0.518
60 Sb 0.206 0.133 0.779
61 Sb 0.224 0.354 0.470
62 Sb 0.249 0.461 0.936
63 Sb 0.258 0.048 0.134
64 Sb 0.275 0.496 0.247
65 Sb 0.289 0.259 0.302
66 Sb 0.321 0.837 0.142
67 Sb 0.325 0.693 0.584
68 Sb 0.371 0.290 0.753
69 Sb 0.378 0.492 0.683
70 Sb 0.416 0.399 0.126
71 Sb 0.416 0.869 0.974
72 Sb 0.427 0.872 0.481
73 Sb 0.428 0.848 0.717
74 Sb 0.441 0.165 0.951
75 Sb 0.464 0.064 0.392
76 Sb 0.471 0.800 0.299
77 Sb 0.506 0.236 0.227
78 Sb 0.550 0.706 0.958
79 Sb 0.614 0.597 0.232
80 Sb 0.615 0.117 0.584
81 Sb 0.617 0.458 0.907
82 Sb 0.621 0.129 0.065
83 Sb 0.621 0.259 0.823
84 Sb 0.636 0.960 0.310
85 Sb 0.647 0.806 0.118
86 Sb 0.654 0.828 0.609
87 Sb 0.672 0.403 0.146
88 Sb 0.711 0.496 0.434
89 Sb 0.730 0.632 0.733
90 Sb 0.738 0.832 0.885
91 Sb 0.745 0.998 0.753
92 Sb 0.774 0.163 0.930
93 Sb 0.791 0.965 0.043
94 Sb 0.793 0.418 0.599
95 Sb 0.811 0.683 0.556
96 Sb 0.819 0.114 0.486
97 Sb 0.858 0.045 0.297
98 Sb 0.877 0.726 0.254
99 Sb 0.924 0.861 0.411
100 Sb 0.995 0.368 0.540

GaSb: optimized geometry, PBE-GGA.

Electronic total energy, eV/f.u.: -6.803
Total moment, μB per formula unit: 0.0
Polymorph energy (0 for the lowest one), meV/atom: 334
Calculated formation energy, meV/atom: 81.2

Cell lengths 13.000, 14.473, 15.118 Å; angles 88.25, 87.71, 89.40 degrees
Fractional coordinates of all 100 atoms:
1 Ga 0.000 0.000 0.000
2 Ga 0.002 0.418 0.153
3 Ga 0.005 0.831 0.582
4 Ga 0.030 0.223 0.741
5 Ga 0.033 0.065 0.635
6 Ga 0.035 0.659 0.350
7 Ga 0.052 0.089 0.425
8 Ga 0.074 0.272 0.460
9 Ga 0.150 0.296 0.069
10 Ga 0.183 0.303 0.621
11 Ga 0.205 0.051 0.068
12 Ga 0.249 0.798 0.339
13 Ga 0.267 0.480 0.213
14 Ga 0.288 0.569 0.723
15 Ga 0.290 0.756 0.828
16 Ga 0.292 0.948 0.243
17 Ga 0.319 0.456 0.584
18 Ga 0.328 0.726 0.072
19 Ga 0.334 0.645 0.531
20 Ga 0.359 0.378 0.739
21 Ga 0.380 0.264 0.520
22 Ga 0.432 0.368 0.338
23 Ga 0.440 0.870 0.149
24 Ga 0.442 0.524 0.072
25 Ga 0.480 0.508 0.237
26 Ga 0.511 0.410 0.495
27 Ga 0.534 0.406 0.959
28 Ga 0.558 0.210 0.431
29 Ga 0.562 0.745 0.083
30 Ga 0.564 0.398 0.697
31 Ga 0.569 0.040 0.840
32 Ga 0.569 0.665 0.931
33 Ga 0.632 0.665 0.221
34 Ga 0.672 0.941 0.464
35 Ga 0.697 0.428 0.835
36 Ga 0.702 0.535 0.976
37 Ga 0.711 0.105 0.587
38 Ga 0.736 0.994 0.736
39 Ga 0.765 0.722 0.013
40 Ga 0.802 0.891 0.587
41 Ga 0.857 0.788 0.351
42 Ga 0.874 0.856 0.117
43 Ga 0.877 0.186 0.108
44 Ga 0.881 0.342 0.454
45 Ga 0.889 0.207 0.591
46 Ga 0.914 0.870 0.733
47 Ga 0.949 0.026 0.173
48 Ga 0.959 0.719 0.963
49 Ga 0.966 0.310 0.999
50 Ga 0.992 0.633 0.674
51 Sb 0.054 0.865 0.309
52 Sb 0.065 0.443 0.700
53 Sb 0.080 0.787 0.821
54 Sb 0.118 0.165 0.935
55 Sb 0.135 0.082 0.244
56 Sb 0.144 0.922 0.476
57 Sb 0.146 0.287 0.261
58 Sb 0.158 0.548 0.066
59 Sb 0.164 0.980 0.800
60 Sb 0.188 0.726 0.647
61 Sb 0.195 0.446 0.850
62 Sb 0.226 0.132 0.543
63 Sb 0.239 0.401 0.426
64 Sb 0.254 0.894 0.966
65 Sb 0.256 0.611 0.360
66 Sb 0.344 0.597 0.921
67 Sb 0.351 0.336 0.084
68 Sb 0.394 0.064 0.960
69 Sb 0.405 0.028 0.721
70 Sb 0.405 0.834 0.456
71 Sb 0.412 0.269 0.887
72 Sb 0.432 0.036 0.348
73 Sb 0.443 0.220 0.225
74 Sb 0.463 0.838 0.745
75 Sb 0.493 0.639 0.366
76 Sb 0.510 0.047 0.543
77 Sb 0.512 0.572 0.773
78 Sb 0.522 0.044 0.110
79 Sb 0.543 0.593 0.562
80 Sb 0.561 0.870 0.310
81 Sb 0.592 0.793 0.588
82 Sb 0.613 0.232 0.802
83 Sb 0.625 0.277 0.087
84 Sb 0.652 0.832 0.854
85 Sb 0.675 0.463 0.157
86 Sb 0.678 0.912 0.034
87 Sb 0.684 0.349 0.323
88 Sb 0.685 0.310 0.567
89 Sb 0.747 0.493 0.441
90 Sb 0.767 0.201 0.940
91 Sb 0.775 0.722 0.707
92 Sb 0.784 0.956 0.288
93 Sb 0.821 0.617 0.283
94 Sb 0.841 0.121 0.412
95 Sb 0.869 0.702 0.518
96 Sb 0.897 0.342 0.832
97 Sb 0.898 0.275 0.274
98 Sb 0.915 0.534 0.011
99 Sb 0.931 0.037 0.827
100 Sb 0.993 0.670 0.146

GaSb: optimized geometry, PBE-GGA.

Electronic total energy, eV/f.u.: -6.900
Total moment, μB per formula unit: 0.0
Polymorph energy (0 for the lowest one), meV/atom: 285
Calculated formation energy, meV/atom: 32.4

Cell lengths 13.574, 14.233, 14.636 Å; angles 85.64, 86.07, 85.90 degrees
Fractional coordinates of all 100 atoms:
1 Ga 0.000 0.000 0.000
2 Ga 0.001 0.466 0.080
3 Ga 0.043 0.245 0.631
4 Ga 0.101 0.996 0.359
5 Ga 0.129 0.577 0.408
6 Ga 0.139 0.526 0.188
7 Ga 0.177 0.580 0.584
8 Ga 0.220 0.713 0.336
9 Ga 0.229 0.720 0.834
10 Ga 0.236 0.390 0.822
11 Ga 0.260 0.400 0.273
12 Ga 0.262 0.078 0.531
13 Ga 0.312 0.985 0.259
14 Ga 0.335 0.840 0.119
15 Ga 0.360 0.636 0.561
16 Ga 0.419 0.254 0.142
17 Ga 0.431 0.240 0.499
18 Ga 0.432 0.340 0.694
19 Ga 0.439 0.166 0.336
20 Ga 0.440 0.010 0.108
21 Ga 0.449 0.431 0.226
22 Ga 0.473 0.633 0.032
23 Ga 0.480 0.663 0.811
24 Ga 0.494 0.672 0.369
25 Ga 0.517 0.514 0.632
26 Ga 0.546 0.373 0.522
27 Ga 0.550 0.075 0.878
28 Ga 0.568 0.075 0.222
29 Ga 0.572 0.673 0.531
30 Ga 0.601 0.354 0.004
31 Ga 0.640 0.143 0.409
32 Ga 0.659 0.934 0.600
33 Ga 0.701 0.939 0.132
34 Ga 0.711 0.129 0.779
35 Ga 0.716 0.992 0.314
36 Ga 0.728 0.525 0.646
37 Ga 0.754 0.023 0.942
38 Ga 0.764 0.243 0.507
39 Ga 0.784 0.244 0.936
40 Ga 0.802 0.812 0.488
41 Ga 0.806 0.027 0.482
42 Ga 0.836 0.783 0.125
43 Ga 0.875 0.427 0.742
44 Ga 0.884 0.937 0.230
45 Ga 0.926 0.296 0.117
46 Ga 0.936 0.878 0.768
47 Ga 0.966 0.588 0.764
48 Ga 0.969 0.870 0.408
49 Ga 0.979 0.653 0.140
50 Ga 0.985 0.359 0.495
51 Sb 0.018 0.132 0.225
52 Sb 0.041 0.663 0.916
53 Sb 0.059 0.796 0.245
54 Sb 0.080 0.778 0.549
55 Sb 0.088 0.986 0.581
56 Sb 0.091 0.436 0.695
57 Sb 0.122 0.077 0.865
58 Sb 0.134 0.908 0.764
59 Sb 0.139 0.967 0.143
60 Sb 0.183 0.503 0.974
61 Sb 0.193 0.247 0.154
62 Sb 0.199 0.395 0.458
63 Sb 0.200 0.689 0.066
64 Sb 0.235 0.151 0.341
65 Sb 0.262 0.238 0.632
66 Sb 0.281 0.114 0.022
67 Sb 0.329 0.827 0.596
68 Sb 0.337 0.556 0.749
69 Sb 0.349 0.832 0.393
70 Sb 0.354 0.637 0.203
71 Sb 0.377 0.098 0.761
72 Sb 0.386 0.253 0.884
73 Sb 0.388 0.789 0.929
74 Sb 0.400 0.497 0.432
75 Sb 0.418 0.445 0.034
76 Sb 0.466 0.019 0.486
77 Sb 0.527 0.795 0.665
78 Sb 0.530 0.797 0.214
79 Sb 0.561 0.119 0.631
80 Sb 0.567 0.903 0.988
81 Sb 0.585 0.408 0.821
82 Sb 0.588 0.163 0.041
83 Sb 0.610 0.284 0.257
84 Sb 0.613 0.857 0.416
85 Sb 0.620 0.536 0.227
86 Sb 0.657 0.692 0.083
87 Sb 0.672 0.590 0.818
88 Sb 0.710 0.423 0.393
89 Sb 0.729 0.313 0.691
90 Sb 0.737 0.402 0.114
91 Sb 0.763 0.607 0.475
92 Sb 0.849 0.539 0.953
93 Sb 0.851 0.102 0.094
94 Sb 0.864 0.039 0.674
95 Sb 0.890 0.861 0.949
96 Sb 0.895 0.743 0.656
97 Sb 0.920 0.382 0.320
98 Sb 0.945 0.170 0.789
99 Sb 0.952 0.581 0.331
100 Sb 0.955 0.360 0.911